1.
The following is a PBE calculation of Ta2Tl4S11 after structural relaxation, from Materials Project.

Unit cell a=8.210 b=9.196 c=13.494 alpha=72.25 beta=89.20 gamma=84.90
Fractional coordinates of all 34 atoms:
Ta 0.126 0.359 0.307
Ta 0.334 0.112 0.192
Ta 0.666 0.888 0.808
Ta 0.874 0.641 0.693
Tl 0.046 0.759 0.976
Tl 0.212 0.966 0.575
Tl 0.231 0.422 0.585
Tl 0.498 0.261 0.891
Tl 0.502 0.739 0.109
Tl 0.769 0.578 0.415
Tl 0.788 0.034 0.425
Tl 0.954 0.241 0.024
S 0.004 0.711 0.534
S 0.047 0.135 0.253
S 0.048 0.636 0.249
S 0.097 0.494 0.812
S 0.269 0.396 0.115
S 0.273 0.044 0.046
S 0.363 0.870 0.332
S 0.385 0.189 0.372
S 0.390 0.422 0.354
S 0.419 0.068 0.745
S 0.485 0.685 0.880
S 0.515 0.315 0.120
S 0.581 0.932 0.255
S 0.610 0.578 0.646
S 0.615 0.811 0.628
S 0.637 0.130 0.668
S 0.727 0.956 0.954
S 0.731 0.604 0.885
S 0.903 0.506 0.188
S 0.952 0.364 0.751
S 0.953 0.865 0.747
S 0.996 0.289 0.466

Results
ΔH_f (0 K) = -896 meV/atom

2.
The following is a PBE calculation of SmOs2 after structural relaxation, from Materials Project.

Unit cell a=5.348 b=5.348 c=9.028 alpha=90.00 beta=90.00 gamma=120.00
Fractional coordinates of all 12 atoms:
Sm 0.333 0.667 0.064
Sm 0.333 0.667 0.436
Sm 0.667 0.333 0.564
Sm 0.667 0.333 0.936
Os 0.000 0.000 0.000
Os 0.000 0.000 0.500
Os 0.171 0.342 0.750
Os 0.171 0.829 0.750
Os 0.342 0.171 0.250
Os 0.658 0.829 0.750
Os 0.829 0.171 0.250
Os 0.829 0.658 0.250

Results
ΔH_f (0 K) = -182 meV/atom